Entry 1:
# SbOF

Crystalline SbOF at its relaxed geometry (GGA-PBE, the Materials Project).

a b c (Å): 3.9123 3.9123 5.6936
angles (deg): 90.00 90.00 90.00
Last column: nearest neighbours and their distance in Å.
Atoms (fractional coordinates):
F1 0.0000 0.0000 0.0000  4 Sb 2.55, 4 F 2.77, 2 O 2.85
F2 0.5000 0.5000 0.0000  4 Sb 2.55, 4 F 2.77, 2 O 2.85
Sb1 0.0000 0.5000 0.7134  4 O 2.30, 4 F 2.55
Sb2 0.5000 0.0000 0.2866  4 O 2.30, 4 F 2.55
O1 0.0000 0.0000 0.5000  4 Sb 2.30
O2 0.5000 0.5000 0.5000  4 Sb 2.30

Formation energy (eV per atom): -2.009
Total moment (Bohr magnetons per cell): 0.0

Entry 2:
# Sb4O5F2

Crystalline Sb4O5F2 at its relaxed geometry (GGA-PBE, the Materials Project).

a b c (Å): 5.2949 6.0667 13.6161
angles (deg): 83.97 90.00 90.00
Last column: nearest neighbours and their distance in Å.
Atoms (fractional coordinates):
Sb1 0.4321 0.7624 0.2985  2 O 1.99-2.04, 1 F 2.07
Sb2 0.5679 0.2376 0.7015  2 O 1.99-2.04, 1 F 2.07
Sb3 0.2749 0.1825 0.4410  2 O 1.95-2.06
Sb4 0.7749 0.8175 0.0590  2 O 1.95-2.06
Sb5 0.0679 0.7624 0.7985  2 O 1.99-2.04, 1 F 2.07
Sb6 0.2251 0.1825 0.9410  2 O 1.95-2.06
Sb7 0.9321 0.2376 0.2015  2 O 1.99-2.04, 1 F 2.07
Sb8 0.7251 0.8175 0.5590  2 O 1.95-2.06
O1 0.0000 0.0000 0.5000  2 Sb 1.95
O2 0.1932 0.0952 0.2924  2 Sb 1.99-2.19
O3 0.6932 0.9048 0.2076  2 Sb 1.99-2.19
O4 0.3068 0.0952 0.7924  2 Sb 1.99-2.19
O5 0.9839 0.9272 0.9174  3 Sb 2.04-2.26
O6 0.5161 0.9272 0.4174  3 Sb 2.04-2.26
O7 0.8068 0.9048 0.7076  2 Sb 1.99-2.19
O8 0.4839 0.0728 0.5826  3 Sb 2.04-2.26
O9 0.0161 0.0728 0.0826  3 Sb 2.04-2.26
O10 0.5000 0.0000 0.0000  2 Sb 1.95
F1 0.8004 0.5416 0.8606  1 Sb 2.07
F2 0.6996 0.5416 0.3606  1 Sb 2.07
F3 0.1996 0.4584 0.1394  1 Sb 2.07
F4 0.3004 0.4584 0.6394  1 Sb 2.07

Formation energy (eV per atom): -1.972
Total moment (Bohr magnetons per cell): 0.0

Entry 3:
# SbOF

Crystalline SbOF at its relaxed geometry (GGA-PBE, the Materials Project).

a b c (Å): 3.4591 6.7692 8.2672
angles (deg): 90.00 90.00 90.00
Last column: nearest neighbours and their distance in Å.
Atoms (fractional coordinates):
F1 0.7500 0.6702 0.0736  2 Sb 2.32
F2 0.2500 0.8298 0.5736  2 Sb 2.32
F3 0.7500 0.1702 0.4264  2 Sb 2.32
F4 0.2500 0.3298 0.9264  2 Sb 2.32
Sb1 0.2500 0.8079 0.9252  3 O 2.06-2.21
Sb2 0.7500 0.6921 0.4252  3 O 2.06-2.21
Sb3 0.2500 0.3079 0.5748  3 O 2.06-2.21
Sb4 0.7500 0.1921 0.0748  3 O 2.06-2.21
O1 0.2500 0.9968 0.1200  3 Sb 2.06-2.21
O2 0.2500 0.4968 0.3800  3 Sb 2.06-2.21
O3 0.7500 0.0032 0.8800  3 Sb 2.06-2.21
O4 0.7500 0.5032 0.6200  3 Sb 2.06-2.21

Formation energy (eV per atom): -2.102
Total moment (Bohr magnetons per cell): 0.0

Entry 4:
# Sb5O7F

Crystalline Sb5O7F at its relaxed geometry (GGA-PBE, the Materials Project).

a b c (Å): 14.4417 14.4417 14.4417
angles (deg): 158.91 114.31 69.83
Last column: nearest neighbours and their distance in Å.
Atoms (fractional coordinates):
F1 0.0964 0.3464 0.7500  4 O 2.79-3.06, 4 Sb 2.80-2.88
F2 0.9036 0.6536 0.2500  4 O 2.79-3.06, 4 Sb 2.80-2.88
F3 0.4036 0.1536 0.2500  4 O 2.79-3.06, 4 Sb 2.80-2.88
F4 0.5964 0.8464 0.7500  4 O 2.79-3.06, 4 Sb 2.80-2.88
Sb1 0.9893 0.0038 0.8557  3 O 2.00-2.02
Sb2 0.4518 0.7018 0.7500  4 O 2.13-2.18
Sb3 0.9518 0.2018 0.7500  4 O 2.13-2.18
Sb4 0.2745 0.2270 0.1156  3 O 2.07-2.18
Sb5 0.1114 0.7270 0.4526  3 O 2.07-2.18
Sb6 0.6114 0.1588 0.3844  3 O 2.07-2.18
Sb7 0.3886 0.8412 0.6156  3 O 2.07-2.18
Sb8 0.7745 0.6588 0.0474  3 O 2.07-2.18
Sb9 0.7255 0.7730 0.8844  3 O 2.07-2.18
Sb10 0.8886 0.2730 0.5474  3 O 2.07-2.18
Sb11 0.1481 0.5038 0.5145  3 O 2.00-2.02
Sb12 0.4893 0.6335 0.9855  3 O 2.00-2.02
Sb13 0.2255 0.3412 0.9526  3 O 2.07-2.18
Sb14 0.0107 0.9962 0.1443  3 O 2.00-2.02
Sb15 0.8519 0.4962 0.4855  3 O 2.00-2.02
Sb16 0.0482 0.7982 0.2500  4 O 2.13-2.18
Sb17 0.3519 0.8665 0.3557  3 O 2.00-2.02
Sb18 0.5107 0.3665 0.0145  3 O 2.00-2.02
Sb19 0.6481 0.1335 0.6443  3 O 2.00-2.02
Sb20 0.5482 0.2982 0.2500  4 O 2.13-2.18
O1 0.4212 0.2511 0.9777  2 Sb 2.00-2.18
O2 0.5759 0.0203 0.1046  3 Sb 2.12-2.18
O3 0.2266 0.5565 0.4777  2 Sb 2.00-2.18
O4 0.5956 0.4771 0.9583  2 Sb 2.00-2.02
O5 0.0843 0.4797 0.0556  3 Sb 2.12-2.18
O6 0.4812 0.0229 0.6186  2 Sb 2.00-2.02
O7 0.2500 0.9566 0.7066  2 Sb 2.07
O8 0.4044 0.5229 0.0417  2 Sb 2.00-2.02
O9 0.7734 0.4435 0.5223  2 Sb 2.00-2.18
O10 0.9157 0.5203 0.9444  3 Sb 2.12-2.18
O11 0.9044 0.8626 0.8814  2 Sb 2.00-2.02
O12 0.2734 0.7511 0.3299  2 Sb 2.00-2.18
O13 0.7500 0.5434 0.7934  2 Sb 2.07
O14 0.4241 0.9797 0.8954  3 Sb 2.12-2.18
O15 0.0788 0.0565 0.8299  2 Sb 2.00-2.18
O16 0.2500 0.4566 0.2066  2 Sb 2.07
O17 0.7266 0.2489 0.6701  2 Sb 2.00-2.18
O18 0.0759 0.9713 0.5556  3 Sb 2.12-2.18
O19 0.5188 0.9771 0.3814  2 Sb 2.00-2.02
O20 0.0188 0.6374 0.5417  2 Sb 2.00-2.02
O21 0.5843 0.5287 0.6046  3 Sb 2.12-2.18
O22 0.9212 0.9435 0.1701  2 Sb 2.00-2.18
O23 0.0956 0.1374 0.1186  2 Sb 2.00-2.02
O24 0.9241 0.0287 0.4444  3 Sb 2.12-2.18
O25 0.5788 0.7489 0.0223  2 Sb 2.00-2.18
O26 0.9812 0.3626 0.4583  2 Sb 2.00-2.02
O27 0.4157 0.4713 0.3954  3 Sb 2.12-2.18
O28 0.7500 0.0434 0.2934  2 Sb 2.07

Formation energy (eV per atom): -1.772
Total moment (Bohr magnetons per cell): 0.0

Entry 5:
# Sb4O5F2

Crystalline Sb4O5F2 at its relaxed geometry (GGA-PBE, the Materials Project).

a b c (Å): 7.8798 9.5951 9.9675
angles (deg): 90.00 90.00 90.00
Last column: nearest neighbours and their distance in Å.
Atoms (fractional coordinates):
O1 0.9315 0.4547 0.3744  2 Sb 1.98-2.05
O2 0.4315 0.5453 0.6256  2 Sb 1.98-2.05
O3 0.0685 0.0453 0.8744  2 Sb 1.98-2.05
O4 0.5557 0.6632 0.0235  2 Sb 2.01-2.02
O5 0.2500 0.8353 0.0665  3 Sb 2.08-2.19
O6 0.4315 0.0453 0.8744  2 Sb 1.98-2.05
O7 0.0557 0.3368 0.9765  2 Sb 2.01-2.02
O8 0.9443 0.6632 0.0235  2 Sb 2.01-2.02
O9 0.9443 0.1632 0.4765  2 Sb 2.01-2.02
O10 0.4443 0.8368 0.5235  2 Sb 2.01-2.02
O11 0.5557 0.1632 0.4765  2 Sb 2.01-2.02
O12 0.7500 0.1647 0.9335  3 Sb 2.08-2.19
O13 0.0685 0.5453 0.6256  2 Sb 1.98-2.05
O14 0.4443 0.3368 0.9765  2 Sb 2.01-2.02
O15 0.7500 0.6647 0.5665  3 Sb 2.08-2.19
O16 0.0557 0.8368 0.5235  2 Sb 2.01-2.02
O17 0.5685 0.4547 0.3744  2 Sb 1.98-2.05
O18 0.5685 0.9547 0.1256  2 Sb 1.98-2.05
O19 0.9315 0.9547 0.1256  2 Sb 1.98-2.05
O20 0.2500 0.3353 0.4335  3 Sb 2.08-2.19
Sb1 0.9737 0.2275 0.8173  3 O 1.98-2.19
Sb2 0.7500 0.4536 0.5212  3 O 2.05-2.08
Sb3 0.7500 0.0299 0.4467  2 O 2.02, 1 F 2.02
Sb4 0.7500 0.9536 0.9788  3 O 2.05-2.08
Sb5 0.5263 0.2275 0.8173  3 O 1.98-2.19
Sb6 0.2500 0.9701 0.5533  2 O 2.02, 1 F 2.02
Sb7 0.5263 0.7275 0.6827  3 O 1.98-2.19
Sb8 0.4737 0.7725 0.1827  3 O 1.98-2.19
Sb9 0.4737 0.2725 0.3173  3 O 1.98-2.19
Sb10 0.2500 0.4701 0.9467  2 O 2.02, 1 F 2.02
Sb11 0.2500 0.5464 0.4788  3 O 2.05-2.08
Sb12 0.0263 0.7725 0.1827  3 O 1.98-2.19
Sb13 0.7500 0.5299 0.0533  2 O 2.02, 1 F 2.02
Sb14 0.0263 0.2725 0.3173  3 O 1.98-2.19
Sb15 0.9737 0.7275 0.6827  3 O 1.98-2.19
Sb16 0.2500 0.0464 0.0212  3 O 2.05-2.08
F1 0.2500 0.5003 0.1475  1 Sb 2.02
F2 0.2500 0.0003 0.3525  1 Sb 2.02
F3 0.2500 0.2863 0.7593  3 Sb 2.32-2.57
F4 0.7500 0.4997 0.8525  1 Sb 2.02
F5 0.2500 0.7863 0.7407  3 Sb 2.32-2.57
F6 0.7500 0.9997 0.6475  1 Sb 2.02
F7 0.7500 0.2137 0.2593  3 Sb 2.32-2.57
F8 0.7500 0.7137 0.2407  3 Sb 2.32-2.57

Formation energy (eV per atom): -1.953
Total moment (Bohr magnetons per cell): 0.0